Record 1
First-principles (meta-GGA r2SCAN) data for a relaxed structure of NpF6, as listed in the Materials Project database.

Results
Formation energy from the elements, meV/atom: -3301
Space group: No. 62

Cell: 5.0676 8.7183 9.6106 Å, 90.00 90.00 90.00°
With the nearest neighbours (Å) after each atom.
Fractional positions:
F 0.0994 0.2500 0.2497  1 Np 2.00
F 0.4184 0.5887 0.7514  1 Np 1.99
F 0.2398 0.4109 0.5087  1 Np 1.99
F 0.0816 0.5887 0.2514  1 Np 1.99
F 0.2398 0.0891 0.5087  1 Np 1.99
F 0.4184 0.9113 0.7514  1 Np 1.99
F 0.5994 0.7500 0.2503  1 Np 2.00
F 0.7602 0.5891 0.4913  1 Np 1.99
F 0.2421 0.7500 0.4905  1 Np 1.99
F 0.2602 0.0891 0.0087  1 Np 1.99
F 0.7398 0.5891 0.9913  1 Np 1.99
F 0.0816 0.9113 0.2514  1 Np 1.99
F 0.9184 0.0887 0.7486  1 Np 1.99
F 0.2579 0.7500 0.9905  1 Np 1.99
F 0.9184 0.4113 0.7486  1 Np 1.99
F 0.7398 0.9109 0.9913  1 Np 1.99
F 0.5816 0.4113 0.2486  1 Np 1.99
F 0.5816 0.0887 0.2486  1 Np 1.99
F 0.7421 0.2500 0.0095  1 Np 1.99
F 0.7602 0.9109 0.4913  1 Np 1.99
F 0.7579 0.2500 0.5095  1 Np 1.99
F 0.2602 0.4109 0.0087  1 Np 1.99
F 0.4006 0.2500 0.7497  1 Np 2.00
F 0.9006 0.7500 0.7503  1 Np 2.00
Np 0.9209 0.7500 0.3709  6 F 1.99-2.00
Np 0.4209 0.2500 0.1291  6 F 1.99-2.00
Np 0.0791 0.2500 0.6291  6 F 1.99-2.00
Np 0.5791 0.7500 0.8709  6 F 1.99-2.00

---

Record 2
First-principles (meta-GGA r2SCAN) data for a relaxed structure of ThCoSn, as listed in the Materials Project database.

Results
Formation energy from the elements, meV/atom: -451
Space group: No. 189

Cell: 7.3436 7.3436 4.0504 Å, 90.00 90.00 120.00°
With the nearest neighbours (Å) after each atom.
Fractional positions:
Co 0.0000 0.0000 0.5000  6 Sn 2.72, 3 Th 3.04
Co 0.6667 0.3333 0.0000  3 Sn 2.82, 6 Th 3.00
Co 0.3333 0.6667 0.0000  3 Sn 2.82, 6 Th 3.00
Th 0.0000 0.5858 0.5000  5 Co 3.00-3.04, 6 Sn 3.20-3.34
Th 0.5858 0.0000 0.5000  5 Co 3.00-3.04, 6 Sn 3.20-3.34
Th 0.4142 0.4142 0.5000  5 Co 3.00-3.04, 6 Sn 3.20-3.34
Sn 0.0000 0.2476 0.0000  4 Co 2.72-2.82
Sn 0.2476 0.0000 0.0000  4 Co 2.72-2.82
Sn 0.7524 0.7524 0.0000  4 Co 2.72-2.82

---

Record 3
First-principles (meta-GGA r2SCAN) data for a relaxed structure of GaRh3, as listed in the Materials Project database.

Results
Formation energy from the elements, meV/atom: -352
Space group: No. 139

Cell: 4.6076 4.6076 4.6076 Å, 130.56 130.56 72.51°
With the nearest neighbours (Å) after each atom.
Fractional positions:
Ga 0.0000 0.0000 0.0000  12 Rh 2.68-2.72
Rh 0.7500 0.2500 0.5000  8 Rh 2.68-2.72, 4 Ga 2.68
Rh 0.5000 0.5000 0.0000  8 Rh 2.68, 4 Ga 2.72
Rh 0.2500 0.7500 0.5000  8 Rh 2.68-2.72, 4 Ga 2.68

---

Record 4
First-principles (meta-GGA r2SCAN) data for a relaxed structure of Cs2H4Pt, as listed in the Materials Project database.

Results
Formation energy from the elements, meV/atom: -480
Space group: No. 136

Cell: 6.1908 6.1908 8.8520 Å, 90.00 90.00 90.00°
With the nearest neighbours (Å) after each atom.
Fractional positions:
Cs 0.0000 0.5000 0.2500  8 H 3.15-3.16
Cs 0.5000 0.0000 0.2500  8 H 3.15-3.16
Cs 0.0000 0.5000 0.7500  8 H 3.15-3.16
Cs 0.5000 0.0000 0.7500  8 H 3.15-3.16
H 0.8114 0.8114 0.0000  1 Pt 1.65
H 0.1886 0.1886 0.0000  1 Pt 1.65
H 0.0000 0.0000 0.8135  1 Pt 1.65
H 0.0000 0.0000 0.1865  1 Pt 1.65
H 0.3114 0.6886 0.5000  1 Pt 1.65
H 0.5000 0.5000 0.3135  1 Pt 1.65
H 0.6886 0.3114 0.5000  1 Pt 1.65
H 0.5000 0.5000 0.6865  1 Pt 1.65
Pt 0.5000 0.5000 0.5000  4 H 1.65
Pt 0.0000 0.0000 0.0000  4 H 1.65